# TbCo5

Crystalline TbCo5 at its relaxed geometry (PBE, the Materials Project database).

Geometry as POSCAR:
```
TbCo5
1.0
4.9312 0.0000 0.0000
-2.4656 4.2706 0.0000
0.0000 0.0000 3.9474
Tb Co
1 5
Direct
0.0000 0.0000 0.0000 Tb
0.0000 0.5000 0.5000 Co
0.3333 0.6667 0.0000 Co
0.5000 0.0000 0.5000 Co
0.5000 0.5000 0.5000 Co
0.6667 0.3333 0.0000 Co
```

Symmetry: P6/mmm, No. 191
Formation energy (eV per atom): -0.105
Uncorrected energy (eV per atom): -6.800



# Sn2S3O12

Crystalline Sn2S3O12 at its relaxed geometry (PBE, the Materials Project database).

Geometry as POSCAR:
```
Sn2S3O12
1.0
4.3325 2.5014 8.2151
-4.3325 2.5014 8.2151
0.0000 -5.0027 8.2151
Sn S O
4 6 24
Direct
0.1411 0.1411 0.1411 Sn
0.3443 0.3443 0.3443 Sn
0.6557 0.6557 0.6557 Sn
0.8589 0.8589 0.8589 Sn
0.0526 0.7313 0.4463 S
0.2687 0.5537 0.9474 S
0.4463 0.0526 0.7313 S
0.5537 0.9474 0.2687 S
0.7313 0.4463 0.0526 S
0.9474 0.2687 0.5537 S
0.0395 0.7760 0.5755 O
0.1356 0.8391 0.2500 O
0.1406 0.2298 0.5219 O
0.1609 0.7500 0.8644 O
0.1668 0.5235 0.4886 O
0.2240 0.4245 0.9605 O
0.2298 0.5219 0.1406 O
0.2500 0.1356 0.8391 O
0.4245 0.9605 0.2240 O
0.4765 0.5114 0.8332 O
0.4781 0.8594 0.7702 O
0.4886 0.1668 0.5235 O
0.5114 0.8332 0.4765 O
0.5219 0.1406 0.2298 O
0.5235 0.4886 0.1668 O
0.5755 0.0395 0.7760 O
0.7500 0.8644 0.1609 O
0.7702 0.4781 0.8594 O
0.7760 0.5755 0.0395 O
0.8332 0.4765 0.5114 O
0.8391 0.2500 0.1356 O
0.8594 0.7702 0.4781 O
0.8644 0.1609 0.7500 O
0.9605 0.2240 0.4245 O
```

Symmetry: R-3, No. 148
Formation energy (eV per atom): -1.840
Uncorrected energy (eV per atom): -6.049



# Nb12I21Br

Crystalline Nb12I21Br at its relaxed geometry (PBE, the Materials Project database).

Geometry as POSCAR:
```
Nb12I21Br
1.0
11.7137 0.0000 0.0000
0.0000 15.5219 0.0000
0.0000 0.0000 13.8618
Nb I Br
24 42 2
Direct
0.1203 0.2008 0.0000 Nb
0.1203 0.7992 0.5000 Nb
0.1492 0.3579 0.8998 Nb
0.1492 0.6421 0.3998 Nb
0.1815 0.2012 0.7994 Nb
0.1815 0.7988 0.2994 Nb
0.3155 0.3036 0.0426 Nb
0.3155 0.6964 0.5426 Nb
0.3461 0.1475 0.9433 Nb
0.3461 0.8525 0.4433 Nb
0.3753 0.3039 0.8417 Nb
0.3753 0.6961 0.3417 Nb
0.6247 0.3039 0.3417 Nb
0.6247 0.6961 0.8417 Nb
0.6539 0.1475 0.4433 Nb
0.6539 0.8525 0.9433 Nb
0.6845 0.3036 0.5426 Nb
0.6845 0.6964 0.0426 Nb
0.8185 0.2012 0.2994 Nb
0.8185 0.7988 0.7994 Nb
0.8508 0.3579 0.3998 Nb
0.8508 0.6421 0.8998 Nb
0.8797 0.2008 0.5000 Nb
0.8797 0.7992 0.0000 Nb
0.0460 0.2491 0.3568 I
0.0460 0.7509 0.8568 I
0.0754 0.1310 0.6178 I
0.0754 0.8690 0.1178 I
0.0933 0.3637 0.1018 I
0.0933 0.6363 0.6018 I
0.1560 0.0372 0.8986 I
0.1560 0.9628 0.3986 I
0.2165 0.3642 0.6989 I
0.2165 0.6358 0.1989 I
0.2777 0.1416 0.1442 I
0.2777 0.8584 0.6442 I
0.3406 0.4674 0.9434 I
0.3406 0.5326 0.4434 I
0.4042 0.1402 0.7418 I
0.4042 0.8598 0.2418 I
0.4275 0.3713 0.2230 I
0.4275 0.6287 0.7230 I
0.4576 0.2561 0.4840 I
0.4576 0.7439 0.9840 I
0.5000 0.0000 0.4928 I
0.5000 0.0000 0.9928 I
0.5424 0.2561 0.9840 I
0.5424 0.7439 0.4840 I
0.5725 0.3713 0.7230 I
0.5725 0.6287 0.2230 I
0.5958 0.1402 0.2418 I
0.5958 0.8598 0.7418 I
0.6594 0.4674 0.4434 I
0.6594 0.5326 0.9434 I
0.7223 0.1416 0.6442 I
0.7223 0.8584 0.1442 I
0.7835 0.3642 0.1989 I
0.7835 0.6358 0.6989 I
0.8440 0.0372 0.3986 I
0.8440 0.9628 0.8986 I
0.9067 0.3637 0.6018 I
0.9067 0.6363 0.1018 I
0.9246 0.1310 0.1178 I
0.9246 0.8690 0.6178 I
0.9540 0.2491 0.8568 I
0.9540 0.7509 0.3568 I
0.0000 0.5000 0.3630 Br
0.0000 0.5000 0.8630 Br
```

Symmetry: Pcc2, No. 27
Formation energy (eV per atom): -0.480
Uncorrected energy (eV per atom): -5.018



# Na3Sc2P3O12

Crystalline Na3Sc2P3O12 at its relaxed geometry (PBE, the Materials Project database).

Geometry as POSCAR:
```
Na3Sc2P3O12
1.0
4.5728 2.6401 7.4533
-4.5728 2.6401 7.4533
0.0000 -5.2802 7.4533
Na Sc P O
6 4 6 24
Direct
0.1228 0.7500 0.3772 Na
0.2500 0.6228 0.8772 Na
0.3772 0.1228 0.7500 Na
0.6228 0.8772 0.2500 Na
0.7500 0.3772 0.1228 Na
0.8772 0.2500 0.6228 Na
0.1471 0.1471 0.1471 Sc
0.3529 0.3529 0.3529 Sc
0.6471 0.6471 0.6471 Sc
0.8529 0.8529 0.8529 Sc
0.0418 0.4582 0.7500 P
0.2500 0.9582 0.5418 P
0.4582 0.7500 0.0418 P
0.5418 0.2500 0.9582 P
0.7500 0.0418 0.4582 P
0.9582 0.5418 0.2500 P
0.0148 0.6260 0.7763 O
0.0681 0.2891 0.9162 O
0.0838 0.9319 0.7109 O
0.1260 0.5148 0.2763 O
0.2109 0.4319 0.5838 O
0.2237 0.9852 0.3740 O
0.2763 0.1260 0.5148 O
0.2891 0.9162 0.0681 O
0.3740 0.2237 0.9852 O
0.4162 0.7891 0.5681 O
0.4319 0.5838 0.2109 O
0.4852 0.7237 0.8740 O
0.5148 0.2763 0.1260 O
0.5681 0.4162 0.7891 O
0.5838 0.2109 0.4319 O
0.6260 0.7763 0.0148 O
0.7109 0.0838 0.9319 O
0.7237 0.8740 0.4852 O
0.7763 0.0148 0.6260 O
0.7891 0.5681 0.4162 O
0.8740 0.4852 0.7237 O
0.9162 0.0681 0.2891 O
0.9319 0.7109 0.0838 O
0.9852 0.3740 0.2237 O
```

Symmetry: R-3c, No. 167
Formation energy (eV per atom): -3.064
Uncorrected energy (eV per atom): -7.264



# Pr3Ni4Ge4

Crystalline Pr3Ni4Ge4 at its relaxed geometry (PBE, the Materials Project database).

Geometry as POSCAR:
```
Pr3Ni4Ge4
1.0
-2.0837 2.0869 12.0261
2.0837 -2.0869 12.0261
2.0837 2.0869 -12.0261
Pr Ni Ge
3 4 4
Direct
0.0000 0.0000 0.0000 Pr
0.1507 0.6507 0.5000 Pr
0.8493 0.3493 0.5000 Pr
0.2485 0.2485 0.0000 Ni
0.4008 0.9008 0.5000 Ni
0.5992 0.0992 0.5000 Ni
0.7515 0.7515 0.0000 Ni
0.3014 0.8014 0.5000 Ge
0.4466 0.4466 0.0000 Ge
0.5534 0.5534 0.0000 Ge
0.6986 0.1986 0.5000 Ge
```

Symmetry: Immm, No. 71
Formation energy (eV per atom): -0.699
Uncorrected energy (eV per atom): -5.786



# Fe4S5

Crystalline Fe4S5 at its relaxed geometry (PBE, the Materials Project database).

Geometry as POSCAR:
```
Fe4S5
1.0
7.8539 0.0000 0.0000
0.0008 7.8584 0.0000
0.2293 0.1310 10.2013
Fe S
8 10
Direct
0.0000 0.0000 0.0000 Fe
0.0877 0.3055 0.0095 Fe
0.2004 0.6074 0.0109 Fe
0.3905 0.1969 0.0106 Fe
0.5034 0.4985 0.0094 Fe
0.5912 0.8042 0.0002 Fe
0.6964 0.1081 0.0012 Fe
0.8948 0.6959 0.0015 Fe
0.0974 0.7964 0.8835 S
0.1816 0.1042 0.1289 S
0.2988 0.4042 0.8891 S
0.4026 0.6957 0.1295 S
0.5005 0.0115 0.8835 S
0.5856 0.2917 0.1304 S
0.6943 0.6074 0.8816 S
0.7920 0.9002 0.1218 S
0.9040 0.2010 0.8814 S
0.9988 0.5084 0.1308 S
```

Symmetry: P1, No. 1
Formation energy (eV per atom): -0.726
Uncorrected energy (eV per atom): -6.509



# Pr5C6Br3

Crystalline Pr5C6Br3 at its relaxed geometry (PBE, the Materials Project database).

Geometry as POSCAR:
```
Pr5C6Br3
1.0
11.6466 -1.9384 0.0000
11.6466 1.9384 0.0000
-9.6529 0.0000 13.8328
Pr C Br
10 12 6
Direct
0.9999 0.9999 0.1054 Pr
0.0001 0.0001 0.8946 Pr
0.0006 0.0006 0.6058 Pr
0.3279 0.3279 0.6189 Pr
0.3347 0.3347 0.3972 Pr
0.3382 0.3382 0.8516 Pr
0.6618 0.6618 0.1484 Pr
0.6653 0.6653 0.6028 Pr
0.6721 0.6721 0.3811 Pr
0.9994 0.9994 0.3942 Pr
0.1298 0.1298 0.2319 C
0.1296 0.1296 0.4706 C
0.1975 0.1975 0.5128 C
0.1986 0.1986 0.2817 C
0.4657 0.4657 0.4792 C
0.4658 0.4658 0.9645 C
0.5342 0.5342 0.0355 C
0.5343 0.5343 0.5208 C
0.8014 0.8014 0.7183 C
0.8025 0.8025 0.4872 C
0.8704 0.8704 0.5294 C
0.8702 0.8702 0.7681 C
0.1662 0.1662 0.0123 Br
0.1687 0.1687 0.7489 Br
0.4874 0.4874 0.2404 Br
0.5126 0.5126 0.7596 Br
0.8313 0.8313 0.2511 Br
0.8338 0.8338 0.9877 Br
```

Symmetry: C2/m, No. 12
Formation energy (eV per atom): -0.870
Uncorrected energy (eV per atom): -6.769



# TaO3

Crystalline TaO3 at its relaxed geometry (PBE, the Materials Project database).

Geometry as POSCAR:
```
TaO3
1.0
4.6756 0.0000 0.0000
-2.3378 4.0492 0.0000
0.0000 0.0000 3.7242
Ta O
2 6
Direct
0.3333 0.6667 0.2500 Ta
0.6667 0.3333 0.7500 Ta
0.1800 0.3600 0.7500 O
0.1800 0.8200 0.7500 O
0.3600 0.1800 0.2500 O
0.6400 0.8200 0.7500 O
0.8200 0.1800 0.2500 O
0.8200 0.6400 0.2500 O
```

Symmetry: P6_3/mmc, No. 194
Formation energy (eV per atom): -1.808
Uncorrected energy (eV per atom): -7.968